Record 1
This record from Materials Project describes a relaxed structure of BaW6O18. The functional is PBE+U.

Cell and atoms, written as POSCAR:
```
BaW6O18
1.0
0.2441 2.3274 -7.0907
-6.5796 -0.8422 3.4285
0.3198 7.2987 2.4067
O W Ba
18 6 1
direct
0.5013 0.5013 0.9991
0.4987 0.0000 0.9991
0.0000 0.4988 0.5011
0.4237 0.2132 0.2533
0.4988 0.0000 0.5011
0.7911 0.2095 0.7460
0.5763 0.7895 0.2533
0.4184 0.2089 0.7460
0.7905 0.5816 0.7460
0.2095 0.7911 0.7460
0.0000 0.4987 0.9991
0.5816 0.7905 0.7460
0.5012 0.5012 0.5011
0.7895 0.5763 0.2533
0.2089 0.4184 0.7460
0.2132 0.4237 0.2533
0.7868 0.2105 0.2533
0.2105 0.7868 0.2533
0.5076 0.5076 0.2501
0.5043 0.0000 0.7516
0.4924 0.0000 0.2501
0.0000 0.5043 0.7516
0.0000 0.4924 0.2501
0.4957 0.4957 0.7516
0.0000 0.0000 0.5659
```

## Properties
The space-group type is P31m, No. 157. As for the total energy after the MP2020 corrections: -9.03 eV per atom. The value obtained for the formation energy is -2.28 eV/atom.


Record 2
This record from Materials Project describes a relaxed structure of BaWO4. The functional is PBE+U.

Cell and atoms, written as POSCAR:
```
BaWO4
1.0
-6.5657 1.0886 3.9901
5.2252 -4.7823 -3.1688
3.1441 0.0088 5.1713
O W Ba
8 2 2
direct
0.6776 0.3224 0.5338
0.9205 0.0795 0.2500
0.0795 0.9205 0.7500
0.5000 0.5000 0.5000
0.6776 0.3224 0.9662
0.3224 0.6776 0.0338
0.5000 0.5000 0.0000
0.3224 0.6776 0.4662
0.5904 0.4096 0.7500
0.4096 0.5904 0.2500
0.8481 0.1519 0.7500
0.1519 0.8481 0.2500
```

## Properties
The space-group type is Cmcm, No. 63. As for the total energy after the MP2020 corrections: -8.45 eV per atom. The value obtained for the formation energy is -2.67 eV/atom.


Record 3
This record from Materials Project describes a relaxed structure of Ba3WO6. The functional is PBE+U.

Cell and atoms, written as POSCAR:
```
Ba3WO6
1.0
6.6159 0.0000 0.0000
-0.6858 6.8853 0.0000
-0.0128 -0.0328 8.0658
W O Ba
2 12 6
direct
0.9496 0.5183 0.7924
0.4759 0.9588 0.2903
0.6108 0.0515 0.1021
0.2045 0.8244 0.2902
0.8214 0.6894 0.6362
0.2744 0.1333 0.7839
0.5732 0.7097 0.2907
0.0421 0.3923 0.0025
0.6126 0.0538 0.4778
0.0418 0.4011 0.5791
0.3166 0.1907 0.2903
0.2300 0.6506 0.7978
0.8161 0.6794 0.9550
0.7328 0.3095 0.7898
0.9300 0.5389 0.2874
0.4451 0.4125 0.5659
0.5514 0.9111 0.7905
0.0284 0.0277 0.5476
0.4456 0.4139 0.0185
0.0359 0.0202 0.0218
```

## Properties
For the largest piezoelectric modulus, the calculation gives 1.02 C/m². The space-group type is P1, No. 1. As for the total energy after the MP2020 corrections: -7.60 eV per atom. The value obtained for the formation energy is -2.76 eV/atom.


Record 4
This record from Materials Project describes a relaxed structure of Ba2YWO6. The functional is PBE+U.

Cell and atoms, written as POSCAR:
```
Ba2YWO6
1.0
8.5261 0.0000 0.0000
0.0000 8.5261 0.0000
0.0000 0.0000 8.5261
O Ba W Y
24 8 4 4
direct
0.7628 0.0139 0.2665
0.7372 0.5139 0.7665
0.9861 0.7335 0.7628
0.9861 0.2665 0.2372
0.0139 0.2665 0.7628
0.7372 0.4861 0.2335
0.0139 0.7335 0.2372
0.2628 0.5139 0.2335
0.2628 0.4861 0.7665
0.7335 0.7628 0.9861
0.5139 0.2335 0.2628
0.2372 0.9861 0.2665
0.2665 0.7628 0.0139
0.2335 0.7372 0.4861
0.4861 0.2335 0.7372
0.5139 0.7665 0.7372
0.2665 0.2372 0.9861
0.2372 0.0139 0.7335
0.7335 0.2372 0.0139
0.7665 0.2628 0.4861
0.7665 0.7372 0.5139
0.2335 0.2628 0.5139
0.7628 0.9861 0.7335
0.4861 0.7665 0.2628
0.0000 0.5000 0.0000
0.5000 0.0000 0.5000
0.5000 0.5000 0.5000
0.5000 0.0000 0.0000
0.0000 0.0000 0.5000
0.0000 0.5000 0.5000
0.0000 0.0000 0.0000
0.5000 0.5000 0.0000
0.7500 0.7500 0.7500
0.7500 0.2500 0.2500
0.2500 0.2500 0.7500
0.2500 0.7500 0.2500
0.7500 0.7500 0.2500
0.7500 0.2500 0.7500
0.2500 0.2500 0.2500
0.2500 0.7500 0.7500
```

## Properties
The space-group type is Pn-3, No. 201. As for the total energy after the MP2020 corrections: -8.43 eV per atom. The value obtained for the formation energy is -3.13 eV/atom.


Record 5
This record from Materials Project describes a relaxed structure of Ba2YW3O8. The functional is PBE+U.

Cell and atoms, written as POSCAR:
```
Ba2YW3O8
1.0
-3.9932 0.7248 -0.7085
-0.4938 -3.9061 -1.2128
-2.5778 -3.1763 11.2792
O W Ba Y
8 3 2 1
direct
0.0000 0.5000 0.3609
0.0000 0.0000 0.1611
0.0000 0.5000 0.0000
0.5000 0.0000 0.3609
0.5000 0.0000 0.0000
0.0000 0.5000 0.6391
0.0000 0.0000 0.8389
0.5000 0.0000 0.6391
0.0000 0.0000 0.3967
0.0000 0.0000 0.0000
0.0000 0.0000 0.6033
0.5000 0.5000 0.1844
0.5000 0.5000 0.8156
0.5000 0.5000 0.5000
```

## Properties
The space-group type is P4/mmm, No. 123. As for the total energy after the MP2020 corrections: -8.63 eV per atom. The value obtained for the formation energy is -2.29 eV/atom.


Record 6
This record from Materials Project describes a relaxed structure of Ba3Y2WO9. The functional is PBE+U.

Cell and atoms, written as POSCAR:
```
Ba3Y2WO9
1.0
-0.2539 5.9089 1.5179
-5.1680 1.5180 -6.7735
-10.0624 2.0523 2.6089
Ba O W Y
6 18 2 4
direct
0.8396 0.5798 0.3208
0.5000 0.7339 0.0000
0.5000 0.2661 0.0000
0.1604 0.9006 0.6792
0.8396 0.0994 0.3208
0.1604 0.4202 0.6792
0.6698 0.3982 0.6605
0.8182 0.0902 0.8197
0.0000 0.7534 0.0000
0.3302 0.0587 0.3395
0.0299 0.7594 0.4811
0.6598 0.4106 0.1788
0.1613 0.4106 0.1788
0.6698 0.9413 0.6605
0.8387 0.5894 0.8212
0.3621 0.0902 0.8197
0.0000 0.2466 0.0000
0.9701 0.2406 0.5189
0.5111 0.2406 0.5189
0.1818 0.9098 0.1803
0.3402 0.5894 0.8212
0.3302 0.6018 0.3395
0.4889 0.7594 0.4811
0.6379 0.9098 0.1803
0.3341 0.8341 0.3318
0.6659 0.1659 0.6682
0.0000 0.5000 0.0000
0.0000 0.0000 0.0000
0.6720 0.6720 0.6559
0.3280 0.3280 0.3441
```

## Properties
The space-group type is Immm, No. 71. As for the total energy after the MP2020 corrections: -8.33 eV per atom. The value obtained for the formation energy is -3.25 eV/atom.


Record 7
This record from Materials Project describes a relaxed structure of Ba2ZnWO6. The functional is PBE+U.

Cell and atoms, written as POSCAR:
```
Ba2ZnWO6
1.0
1.6705 2.0837 5.1948
3.6110 4.5823 0.2847
-1.9859 5.1731 1.8476
W O Ba Zn
1 6 2 1
direct
0.0000 0.0000 0.0000
0.2377 0.7623 0.2377
0.7623 0.2377 0.7623
0.2377 0.7623 0.7623
0.7623 0.2377 0.2377
0.7623 0.7623 0.2377
0.2377 0.2377 0.7623
0.2500 0.2500 0.2500
0.7500 0.7500 0.7500
0.5000 0.5000 0.5000
```

## Properties
The space-group type is Fm-3m, No. 225. As for the total energy after the MP2020 corrections: -7.43 eV per atom. The value obtained for the formation energy is -2.65 eV/atom.


Record 8
This record from Materials Project describes a relaxed structure of Ba2ZrWO6. The functional is PBE+U.

Cell and atoms, written as POSCAR:
```
Ba2ZrWO6
1.0
0.0000 4.2053 4.2053
4.2053 0.0000 4.2053
4.2053 4.2053 0.0000
Ba O Zr W
2 6 1 1
direct
0.2500 0.2500 0.2500
0.7500 0.7500 0.7500
0.2526 0.7474 0.2526
0.2526 0.2526 0.7474
0.7474 0.2526 0.2526
0.7474 0.7474 0.2526
0.2526 0.7474 0.7474
0.7474 0.2526 0.7474
0.0000 0.0000 0.0000
0.5000 0.5000 0.5000
```

## Properties
The space-group type is Fm-3m, No. 225. As for the total energy after the MP2020 corrections: -8.56 eV per atom. The value obtained for the formation energy is -3.05 eV/atom.


Record 9
This record from Materials Project describes a relaxed structure of CaBe3Co2Si3O12. The functional is PBE+U.

Cell and atoms, written as POSCAR:
```
CaBe3Co2Si3O12
1.0
7.5461 0.0000 0.0000
0.0000 8.1096 0.0000
0.0000 8.1074 14.0196
Co Be O Si Ca
8 12 48 12 4
direct
0.5375 0.3390 0.4089
0.9625 0.3390 0.9089
0.4625 0.6610 0.5911
0.4547 0.6709 0.0732
0.0453 0.6709 0.5732
0.0375 0.6610 0.0911
0.9547 0.3291 0.4268
0.5453 0.3291 0.9268
0.6622 0.0310 0.9083
0.8415 0.3150 0.0780
0.1622 0.9690 0.5917
0.6584 0.6535 0.7664
0.3416 0.3465 0.2336
0.1585 0.6850 0.9220
0.3415 0.6850 0.4220
0.6585 0.3150 0.5780
0.8378 0.0310 0.4083
0.3378 0.9690 0.0917
0.8416 0.6535 0.2664
0.1584 0.3465 0.7336
0.2676 0.5469 0.0215
0.5355 0.7278 0.4535
0.5352 0.8658 0.1146
0.9648 0.8658 0.6146
0.2472 0.5508 0.1997
0.2579 0.8805 0.6953
0.6249 0.7822 0.6497
0.7569 0.7712 0.8100
0.7431 0.7712 0.3100
0.0352 0.1342 0.3854
0.8772 0.4136 0.1464
0.4648 0.5998 0.8201
0.0355 0.2722 0.0465
0.7528 0.4492 0.8003
0.7579 0.1195 0.8047
0.2528 0.5508 0.6997
0.3751 0.2178 0.3503
0.2569 0.2288 0.6900
0.0352 0.5998 0.3201
0.7513 0.1056 0.6363
0.7319 0.0949 0.4762
0.6228 0.4136 0.6464
0.2487 0.8944 0.3637
0.2513 0.8944 0.8637
0.1244 0.2044 0.5426
0.7487 0.1056 0.1363
0.7472 0.4492 0.3003
0.3772 0.5864 0.3536
0.4645 0.2722 0.5465
0.7676 0.4531 0.4785
0.2319 0.9051 0.0238
0.9645 0.7278 0.9535
0.3756 0.2044 0.0426
0.8751 0.7822 0.1497
0.1228 0.5864 0.8536
0.2324 0.5469 0.5215
0.7421 0.1195 0.3047
0.6244 0.7956 0.9574
0.2681 0.9051 0.5238
0.5352 0.4002 0.1799
0.2421 0.8805 0.1953
0.8756 0.7956 0.4574
0.9648 0.4002 0.6799
0.7681 0.0949 0.9762
0.1249 0.2178 0.8503
0.4648 0.1342 0.8854
0.2431 0.2288 0.1900
0.7324 0.4531 0.9785
0.2332 0.3149 0.0742
0.7648 0.9607 0.5928
0.7352 0.9607 0.0928
0.2352 0.0393 0.4072
0.2288 0.6522 0.2669
0.7668 0.6851 0.9258
0.2712 0.6522 0.7669
0.2648 0.0393 0.9072
0.7712 0.3478 0.7331
0.7288 0.3478 0.2331
0.2668 0.3149 0.5742
0.7332 0.6851 0.4258
0.9975 0.9994 0.7481
0.4975 0.0006 0.7519
0.0025 0.0006 0.2519
0.5025 0.9994 0.2481
```

## Properties
The space-group type is P2_1/c, No. 14. As for the total energy after the MP2020 corrections: -7.68 eV per atom. The value obtained for the formation energy is -2.77 eV/atom.